{
  "formula": "Eu3H",
  "functional": "PBE",
  "state": "relaxed",
  "spacegroup": "P6_3/mmc, No. 194",
  "e_tot_ev_per_atom": -8.076,
  "e_form_mev_per_atom": 420,
  "lattice": [[7.1955, 0.0000, 0.0000], [-3.5977, 6.2315, 0.0000], [0.0000, 0.0000, 6.0649]],
  "species": ["Eu", "Eu", "Eu", "Eu", "Eu", "Eu", "H", "H"],
  "fractional_positions": [[0.1683, 0.3367, 0.2500], [0.1683, 0.8317, 0.2500], [0.3367, 0.1683, 0.7500], [0.6633, 0.8317, 0.2500], [0.8317, 0.1683, 0.7500], [0.8317, 0.6633, 0.7500], [0.3333, 0.6667, 0.7500], [0.6667, 0.3333, 0.2500]]
}



{
  "formula": "Eu2H6Ir",
  "functional": "PBE",
  "state": "relaxed",
  "spacegroup": "Fm-3m, No. 225",
  "e_tot_ev_per_atom": -6.088,
  "e_form_mev_per_atom": -565,
  "lattice": [[0.0000, 3.7764, 3.7764], [3.7764, 0.0000, 3.7764], [3.7764, 3.7764, 0.0000]],
  "species": ["Eu", "Eu", "H", "H", "H", "H", "H", "H", "Ir"],
  "fractional_positions": [[0.2500, 0.2500, 0.2500], [0.7500, 0.7500, 0.7500], [0.2284, 0.2284, 0.7716], [0.2284, 0.7716, 0.2284], [0.2284, 0.7716, 0.7716], [0.7716, 0.2284, 0.2284], [0.7716, 0.2284, 0.7716], [0.7716, 0.7716, 0.2284], [0.0000, 0.0000, 0.0000]]
}



{
  "formula": "KEuH2S2O9",
  "functional": "PBE",
  "state": "relaxed",
  "spacegroup": "P2_1/c, No. 14",
  "e_tot_ev_per_atom": -6.474,
  "e_form_mev_per_atom": -2156,
  "lattice": [[10.4950, 0.0000, 0.0000], [0.0000, 8.7031, 0.0000], [-5.2428, 0.0000, 9.4131]],
  "species": ["K", "K", "K", "K", "Eu", "Eu", "Eu", "Eu", "H", "H", "H", "H", "H", "H", "H", "H", "S", "S", "S", "S", "S", "S", "S", "S", "O", "O", "O", "O", "O", "O", "O", "O", "O", "O", "O", "O", "O", "O", "O", "O", "O", "O", "O", "O", "O", "O", "O", "O", "O", "O", "O", "O", "O", "O", "O", "O", "O", "O", "O", "O"],
  "fractional_positions": [[0.2121, 0.1819, 0.1915], [0.2121, 0.3181, 0.6915], [0.7879, 0.6819, 0.3085], [0.7879, 0.8181, 0.8085], [0.2573, 0.6472, 0.0338], [0.2573, 0.8528, 0.5338], [0.7427, 0.1472, 0.4662], [0.7427, 0.3528, 0.9662], [0.2856, 0.5270, 0.4545], [0.2856, 0.9730, 0.9545], [0.4101, 0.5270, 0.6115], [0.4101, 0.9730, 0.1115], [0.5899, 0.0270, 0.8885], [0.5899, 0.4730, 0.3885], [0.7144, 0.0270, 0.0455], [0.7144, 0.4730, 0.5455], [0.0514, 0.6333, 0.1793], [0.0514, 0.8667, 0.6793], [0.4914, 0.6917, 0.8938], [0.4914, 0.8083, 0.3938], [0.5086, 0.1917, 0.6062], [0.5086, 0.3083, 0.1062], [0.9486, 0.1333, 0.3207], [0.9486, 0.3667, 0.8207], [0.0553, 0.7459, 0.0757], [0.0553, 0.7541, 0.5757], [0.0741, 0.7110, 0.3111], [0.0741, 0.7890, 0.8111], [0.0947, 0.0573, 0.3860], [0.0947, 0.4427, 0.8860], [0.1700, 0.5190, 0.2102], [0.1700, 0.9810, 0.7102], [0.3108, 0.5649, 0.5494], [0.3108, 0.9351, 0.0494], [0.3532, 0.6104, 0.8648], [0.3532, 0.8896, 0.3648], [0.4067, 0.0825, 0.6204], [0.4067, 0.4175, 0.1204], [0.4423, 0.2387, 0.9637], [0.4423, 0.2613, 0.4637], [0.4552, 0.6866, 0.2825], [0.4552, 0.8134, 0.7825], [0.5448, 0.1866, 0.2175], [0.5448, 0.3134, 0.7175], [0.5577, 0.7387, 0.5363], [0.5577, 0.7613, 0.0363], [0.5933, 0.5825, 0.8796], [0.5933, 0.9175, 0.3796], [0.6468, 0.1104, 0.6352], [0.6468, 0.3896, 0.1352], [0.6892, 0.0649, 0.9506], [0.6892, 0.4351, 0.4506], [0.8300, 0.0190, 0.2898], [0.8300, 0.4810, 0.7898], [0.9053, 0.5573, 0.1140], [0.9053, 0.9427, 0.6140], [0.9259, 0.2110, 0.1889], [0.9259, 0.2890, 0.6889], [0.9447, 0.2459, 0.4243], [0.9447, 0.2541, 0.9243]]
}



{
  "formula": "K3EuSi3H2O10",
  "functional": "PBE",
  "state": "relaxed",
  "spacegroup": "Pnma, No. 62",
  "e_tot_ev_per_atom": -6.894,
  "e_form_mev_per_atom": -2723,
  "lattice": [[13.2445, 0.0000, 0.0000], [0.0000, 14.1173, 0.0000], [0.0000, 0.0000, 6.0477]],
  "species": ["K", "K", "K", "K", "K", "K", "K", "K", "K", "K", "K", "K", "Eu", "Eu", "Eu", "Eu", "Si", "Si", "Si", "Si", "Si", "Si", "Si", "Si", "Si", "Si", "Si", "Si", "H", "H", "H", "H", "H", "H", "H", "H", "O", "O", "O", "O", "O", "O", "O", "O", "O", "O", "O", "O", "O", "O", "O", "O", "O", "O", "O", "O", "O", "O", "O", "O", "O", "O", "O", "O", "O", "O", "O", "O", "O", "O", "O", "O", "O", "O", "O", "O"],
  "fractional_positions": [[0.1180, 0.2500, 0.0737], [0.1367, 0.0165, 0.3919], [0.1367, 0.4835, 0.3919], [0.3633, 0.5165, 0.8919], [0.3633, 0.9835, 0.8919], [0.3820, 0.7500, 0.5737], [0.6180, 0.2500, 0.4263], [0.6367, 0.0165, 0.1081], [0.6367, 0.4835, 0.1081], [0.8633, 0.5165, 0.6081], [0.8633, 0.9835, 0.6081], [0.8820, 0.7500, 0.9263], [0.0464, 0.7500, 0.4156], [0.4536, 0.2500, 0.9156], [0.5464, 0.7500, 0.0844], [0.9536, 0.2500, 0.5844], [0.1010, 0.6052, 0.9099], [0.1010, 0.8948, 0.9099], [0.2448, 0.2500, 0.5724], [0.2552, 0.7500, 0.0724], [0.3990, 0.1052, 0.4099], [0.3990, 0.3948, 0.4099], [0.6010, 0.6052, 0.5901], [0.6010, 0.8948, 0.5901], [0.7448, 0.2500, 0.9276], [0.7552, 0.7500, 0.4276], [0.8990, 0.1052, 0.0901], [0.8990, 0.3948, 0.0901], [0.0819, 0.0536, 0.8746], [0.0819, 0.4464, 0.8746], [0.4181, 0.5536, 0.3746], [0.4181, 0.9464, 0.3746], [0.5819, 0.0536, 0.6254], [0.5819, 0.4464, 0.6254], [0.9181, 0.5536, 0.1254], [0.9181, 0.9464, 0.1254], [0.0338, 0.6256, 0.1308], [0.0338, 0.8744, 0.1308], [0.0424, 0.6301, 0.6825], [0.0424, 0.8699, 0.6825], [0.1238, 0.2500, 0.5645], [0.1397, 0.0093, 0.8985], [0.1397, 0.4907, 0.8985], [0.2128, 0.7500, 0.3226], [0.2142, 0.6567, 0.9274], [0.2142, 0.8433, 0.9274], [0.2858, 0.1567, 0.4274], [0.2858, 0.3433, 0.4274], [0.2872, 0.2500, 0.8226], [0.3603, 0.5093, 0.3985], [0.3603, 0.9907, 0.3985], [0.3762, 0.7500, 0.0645], [0.4576, 0.1301, 0.1825], [0.4576, 0.3699, 0.1825], [0.4662, 0.1256, 0.6308], [0.4662, 0.3744, 0.6308], [0.5338, 0.6256, 0.3692], [0.5338, 0.8744, 0.3692], [0.5424, 0.6301, 0.8175], [0.5424, 0.8699, 0.8175], [0.6238, 0.2500, 0.9355], [0.6397, 0.0093, 0.6015], [0.6397, 0.4907, 0.6015], [0.7128, 0.7500, 0.1774], [0.7142, 0.6567, 0.5726], [0.7142, 0.8433, 0.5726], [0.7858, 0.1567, 0.0726], [0.7858, 0.3433, 0.0726], [0.7872, 0.2500, 0.6774], [0.8603, 0.5093, 0.1015], [0.8603, 0.9907, 0.1015], [0.8762, 0.7500, 0.4355], [0.9576, 0.1301, 0.3175], [0.9576, 0.3699, 0.3175], [0.9662, 0.1256, 0.8692], [0.9662, 0.3744, 0.8692]]
}



{
  "formula": "Eu2Mg3H10",
  "functional": "PBE",
  "state": "relaxed",
  "spacegroup": "C2/m, No. 12",
  "e_tot_ev_per_atom": -4.281,
  "e_form_mev_per_atom": -451,
  "lattice": [[8.6791, -2.8223, 0.0000], [8.6791, 2.8223, 0.0000], [-2.6332, 0.0000, 6.8133]],
  "species": ["Eu", "Eu", "Eu", "Eu", "Mg", "Mg", "Mg", "Mg", "Mg", "Mg", "H", "H", "H", "H", "H", "H", "H", "H", "H", "H", "H", "H", "H", "H", "H", "H", "H", "H", "H", "H"],
  "fractional_positions": [[0.1166, 0.1166, 0.2219], [0.2215, 0.2215, 0.8163], [0.7785, 0.7785, 0.1837], [0.8834, 0.8834, 0.7781], [0.2411, 0.7589, 0.5000], [0.3248, 0.3248, 0.4775], [0.4244, 0.4244, 0.0528], [0.5756, 0.5756, 0.9472], [0.6752, 0.6752, 0.5225], [0.7589, 0.2411, 0.5000], [0.0000, 0.5000, 0.5000], [0.0161, 0.0161, 0.6962], [0.0960, 0.5931, 0.0159], [0.1067, 0.6637, 0.4713], [0.2596, 0.2596, 0.2032], [0.2616, 0.7384, 0.0000], [0.3363, 0.8933, 0.5287], [0.3644, 0.3644, 0.7595], [0.4069, 0.9040, 0.9841], [0.4799, 0.4799, 0.3230], [0.5000, 0.0000, 0.5000], [0.5201, 0.5201, 0.6770], [0.5931, 0.0960, 0.0159], [0.6356, 0.6356, 0.2405], [0.6637, 0.1067, 0.4713], [0.7384, 0.2616, 0.0000], [0.7404, 0.7404, 0.7968], [0.8933, 0.3363, 0.5287], [0.9040, 0.4069, 0.9841], [0.9839, 0.9839, 0.3038]]
}



{
  "formula": "Eu6Mg7H26",
  "functional": "PBE",
  "state": "relaxed",
  "spacegroup": "C2/m, No. 12",
  "e_tot_ev_per_atom": -4.487,
  "e_form_mev_per_atom": -479,
  "lattice": [[8.8936, -2.7672, 0.0000], [8.8936, 2.7672, 0.0000], [-7.0072, 0.0000, 8.9356]],
  "species": ["Eu", "Eu", "Eu", "Eu", "Eu", "Eu", "Mg", "Mg", "Mg", "Mg", "Mg", "Mg", "Mg", "H", "H", "H", "H", "H", "H", "H", "H", "H", "H", "H", "H", "H", "H", "H", "H", "H", "H", "H", "H", "H", "H", "H", "H", "H", "H"],
  "fractional_positions": [[0.1465, 0.1465, 0.4108], [0.1598, 0.1598, 0.9026], [0.3518, 0.3518, 0.8465], [0.6482, 0.6482, 0.1535], [0.8402, 0.8402, 0.0974], [0.8535, 0.8535, 0.5892], [0.0000, 0.0000, 0.0000], [0.2444, 0.7556, 0.5000], [0.2774, 0.2774, 0.2882], [0.4840, 0.4840, 0.2203], [0.5160, 0.5160, 0.7797], [0.7226, 0.7226, 0.7118], [0.7556, 0.2444, 0.5000], [0.0060, 0.4980, 0.3795], [0.0080, 0.4864, 0.1402], [0.0973, 0.0973, 0.5826], [0.1279, 0.1279, 0.1787], [0.2059, 0.7712, 0.3199], [0.2204, 0.7084, 0.0735], [0.2288, 0.7941, 0.6801], [0.2916, 0.7796, 0.9265], [0.3460, 0.3460, 0.0815], [0.3823, 0.3823, 0.6706], [0.4115, 0.4115, 0.4289], [0.4864, 0.0080, 0.1402], [0.4980, 0.0060, 0.3795], [0.5020, 0.9940, 0.6205], [0.5136, 0.9920, 0.8598], [0.5885, 0.5885, 0.5711], [0.6177, 0.6177, 0.3294], [0.6540, 0.6540, 0.9185], [0.7084, 0.2204, 0.0735], [0.7712, 0.2059, 0.3199], [0.7796, 0.2916, 0.9265], [0.7941, 0.2288, 0.6801], [0.8721, 0.8721, 0.8213], [0.9027, 0.9027, 0.4174], [0.9920, 0.5136, 0.8598], [0.9940, 0.5020, 0.6205]]
}



{
  "formula": "EuHO3",
  "functional": "PBE",
  "state": "relaxed",
  "spacegroup": "P2_1/m, No. 11",
  "e_tot_ev_per_atom": -7.028,
  "e_form_mev_per_atom": -1742,
  "lattice": [[5.6897, 0.0000, 0.0000], [0.0000, 3.7650, 0.0000], [-2.4016, 0.0000, 5.3731]],
  "species": ["Eu", "Eu", "H", "H", "O", "O", "O", "O", "O", "O"],
  "fractional_positions": [[0.1821, 0.2500, 0.3132], [0.8179, 0.7500, 0.6868], [0.3797, 0.7500, 0.0095], [0.6203, 0.2500, 0.9905], [0.0812, 0.2500, 0.6673], [0.2278, 0.7500, 0.0478], [0.3822, 0.7500, 0.5824], [0.6178, 0.2500, 0.4176], [0.7722, 0.2500, 0.9522], [0.9188, 0.7500, 0.3327]]
}



{
  "formula": "EuH3O3",
  "functional": "PBE",
  "state": "relaxed",
  "e_above_lowest_polymorph_mev_per_atom": 0,
  "spacegroup": "P6_3/m, No. 176",
  "e_tot_ev_per_atom": -6.661,
  "e_form_mev_per_atom": -1916,
  "lattice": [[6.4276, 0.0000, 0.0000], [-3.2138, 5.5665, 0.0000], [0.0000, 0.0000, 3.6908]],
  "species": ["Eu", "Eu", "H", "H", "H", "H", "H", "H", "O", "O", "O", "O", "O", "O"],
  "fractional_positions": [[0.3333, 0.6667, 0.2500], [0.6667, 0.3333, 0.7500], [0.1358, 0.8593, 0.7500], [0.1407, 0.2765, 0.7500], [0.2765, 0.1358, 0.2500], [0.7235, 0.8642, 0.7500], [0.8593, 0.7235, 0.2500], [0.8642, 0.1407, 0.2500], [0.0836, 0.3912, 0.7500], [0.3076, 0.9164, 0.7500], [0.3912, 0.3076, 0.2500], [0.6088, 0.6924, 0.7500], [0.6924, 0.0836, 0.2500], [0.9164, 0.6088, 0.2500]]
}



{
  "formula": "EuH3O3",
  "functional": "PBE",
  "state": "relaxed",
  "e_above_lowest_polymorph_mev_per_atom": 6,
  "spacegroup": "P2_1/m, No. 11",
  "e_tot_ev_per_atom": -6.656,
  "e_form_mev_per_atom": -1910,
  "lattice": [[6.4771, 0.0000, 0.0000], [0.0000, 3.6793, 0.0000], [-3.0231, 0.0000, 5.7702]],
  "species": ["Eu", "Eu", "H", "H", "H", "H", "H", "H", "O", "O", "O", "O", "O", "O"],
  "fractional_positions": [[0.1546, 0.2500, 0.3226], [0.8454, 0.7500, 0.6774], [0.2223, 0.2500, 0.8547], [0.3601, 0.7500, 0.1398], [0.3635, 0.7500, 0.6800], [0.6365, 0.2500, 0.3200], [0.6399, 0.2500, 0.8602], [0.7777, 0.7500, 0.1453], [0.1080, 0.2500, 0.9126], [0.1935, 0.7500, 0.5942], [0.4056, 0.7500, 0.3050], [0.5944, 0.2500, 0.6950], [0.8065, 0.2500, 0.4058], [0.8920, 0.7500, 0.0874]]
}



{
  "formula": "EuHSO5",
  "functional": "PBE",
  "state": "relaxed",
  "spacegroup": "P2_1/c, No. 14",
  "e_tot_ev_per_atom": -7.153,
  "e_form_mev_per_atom": -2267,
  "lattice": [[4.5240, 0.0000, 0.0000], [0.0000, 12.4919, 0.0000], [-2.5443, 0.0000, 6.6902]],
  "species": ["Eu", "Eu", "Eu", "Eu", "H", "H", "H", "H", "S", "S", "S", "S", "O", "O", "O", "O", "O", "O", "O", "O", "O", "O", "O", "O", "O", "O", "O", "O", "O", "O", "O", "O"],
  "fractional_positions": [[0.1633, 0.0615, 0.3009], [0.1633, 0.4385, 0.8009], [0.8367, 0.5615, 0.1991], [0.8367, 0.9385, 0.6991], [0.2149, 0.6551, 0.9842], [0.2149, 0.8449, 0.4842], [0.7851, 0.1551, 0.5158], [0.7851, 0.3449, 0.0158], [0.4120, 0.1476, 0.8918], [0.4120, 0.3524, 0.3918], [0.5880, 0.6476, 0.6082], [0.5880, 0.8524, 0.1082], [0.2011, 0.0711, 0.9503], [0.2011, 0.4289, 0.4503], [0.2368, 0.5833, 0.0439], [0.2368, 0.9167, 0.5439], [0.2399, 0.2502, 0.3283], [0.2399, 0.2498, 0.8283], [0.2969, 0.6667, 0.4353], [0.2969, 0.8333, 0.9353], [0.4795, 0.1000, 0.7213], [0.4795, 0.4000, 0.2213], [0.5205, 0.6000, 0.7787], [0.5205, 0.9000, 0.2787], [0.7031, 0.1667, 0.0647], [0.7031, 0.3333, 0.5647], [0.7601, 0.7502, 0.1717], [0.7601, 0.7498, 0.6717], [0.7632, 0.0833, 0.4561], [0.7632, 0.4167, 0.9561], [0.7989, 0.5711, 0.5497], [0.7989, 0.9289, 0.0497]]
}



{
  "formula": "EuH3Pd",
  "functional": "PBE",
  "state": "relaxed",
  "spacegroup": "Pm-3m, No. 221",
  "e_tot_ev_per_atom": -5.650,
  "e_form_mev_per_atom": -527,
  "lattice": [[3.8305, 0.0000, 0.0000], [0.0000, 3.8305, 0.0000], [0.0000, 0.0000, 3.8305]],
  "species": ["Eu", "H", "H", "H", "Pd"],
  "fractional_positions": [[0.0000, 0.0000, 0.0000], [0.0000, 0.5000, 0.5000], [0.5000, 0.0000, 0.5000], [0.5000, 0.5000, 0.0000], [0.5000, 0.5000, 0.5000]]
}



{
  "formula": "Eu2H6Ru",
  "functional": "PBE",
  "state": "relaxed",
  "spacegroup": "Fm-3m, No. 225",
  "e_tot_ev_per_atom": -6.147,
  "e_form_mev_per_atom": -575,
  "lattice": [[0.0000, 3.7337, 3.7337], [3.7337, 0.0000, 3.7337], [3.7337, 3.7337, 0.0000]],
  "species": ["Eu", "Eu", "H", "H", "H", "H", "H", "H", "Ru"],
  "fractional_positions": [[0.2500, 0.2500, 0.2500], [0.7500, 0.7500, 0.7500], [0.2311, 0.2311, 0.7689], [0.2311, 0.7689, 0.2311], [0.2311, 0.7689, 0.7689], [0.7689, 0.2311, 0.2311], [0.7689, 0.2311, 0.7689], [0.7689, 0.7689, 0.2311], [0.0000, 0.0000, 0.0000]]
}